{
  "formula": "LiAlP2",
  "functional": "GGA-PBE",
  "state": "relaxed",
  "final_energy_ev_per_cell": -139.52,
  "m_tot_mub_per_cell": 0.2,
  "space_group": "Ibca, No. 73",
  "cell": [[-3.7345, -5.5041, 6.8066], [-3.7345, 5.5041, -6.8066], [3.7345, -5.5041, -6.8066]],
  "species": ["P", "P", "P", "P", "P", "P", "P", "P", "P", "P", "P", "P", "P", "P", "P", "P", "Al", "Al", "Al", "Al", "Al", "Al", "Al", "Al", "Li", "Li", "Li", "Li", "Li", "Li", "Li", "Li"],
  "frac_coords": [[0.5000, 0.5000, 0.0000], [0.2500, 0.7503, 0.0003], [0.5000, 0.0000, 0.5000], [0.7500, 0.7497, 0.4997], [0.7500, 0.2497, 0.9997], [0.9025, 0.2500, 0.6525], [0.0000, 0.5000, 0.5000], [0.1598, 0.9098, 0.7500], [0.2500, 0.2503, 0.5003], [0.5975, 0.7500, 0.8475], [0.3402, 0.5902, 0.2500], [0.0000, 0.0000, 0.0000], [0.0975, 0.7500, 0.3475], [0.8402, 0.0902, 0.2500], [0.6598, 0.4098, 0.7500], [0.4025, 0.2500, 0.1525], [0.8030, 0.7433, 0.7581], [0.1970, 0.2567, 0.2419], [0.9851, 0.5448, 0.7419], [0.4851, 0.2433, 0.9403], [0.5149, 0.7567, 0.0597], [0.0149, 0.4552, 0.2581], [0.6970, 0.9552, 0.4403], [0.3030, 0.0448, 0.5597], [0.4674, 0.9095, 0.7633], [0.9674, 0.7041, 0.0579], [0.6462, 0.4095, 0.4421], [0.5326, 0.0905, 0.2367], [0.3538, 0.5905, 0.5579], [0.1462, 0.2041, 0.7367], [0.8538, 0.7959, 0.2633], [0.0326, 0.2959, 0.9421]]
}

{
  "formula": "CsErZnTe3",
  "functional": "GGA-PBE",
  "state": "relaxed",
  "final_energy_ev_per_cell": -45.36,
  "m_tot_mub_per_cell": 0.0,
  "space_group": "Cmcm, No. 63",
  "cell": [[-1.4864, -2.1825, 3.5405], [8.3967, -2.6207, -0.8452], [3.4409, 8.8075, 6.8738]],
  "species": ["Cs", "Cs", "Zn", "Zn", "Te", "Te", "Te", "Te", "Te", "Te", "Er", "Er"],
  "frac_coords": [[0.7455, 0.4910, 0.7500], [0.2545, 0.5090, 0.2500], [0.4605, 0.9209, 0.7500], [0.5395, 0.0791, 0.2500], [0.3798, 0.7595, 0.5557], [0.6202, 0.2405, 0.0557], [0.9421, 0.8841, 0.2500], [0.3798, 0.7595, 0.9443], [0.6202, 0.2405, 0.4443], [0.0579, 0.1159, 0.7500], [0.0000, 0.0000, 0.0000], [0.0000, 0.0000, 0.5000]]
}

{
  "formula": "As2Pb3O8",
  "functional": "GGA-PBE",
  "state": "relaxed",
  "final_energy_ev_per_cell": -154.20,
  "space_group": "P2_1/c, No. 14",
  "cell": [[-1.6732, -5.8156, -2.0197], [6.7382, -0.7642, -3.3816], [6.7549, -3.8740, 5.5587]],
  "species": ["O", "O", "O", "O", "O", "O", "O", "O", "O", "O", "O", "O", "O", "O", "O", "O", "Pb", "Pb", "Pb", "Pb", "Pb", "Pb", "As", "As", "As", "As"],
  "frac_coords": [[0.4700, 0.3189, 0.2201], [0.5375, 0.9630, 0.2239], [0.9625, 0.9630, 0.7239], [0.5300, 0.6811, 0.7799], [0.0375, 0.0370, 0.2761], [0.4625, 0.0370, 0.7761], [0.7601, 0.2796, 0.4873], [0.9700, 0.6811, 0.2799], [0.3019, 0.2521, 0.9797], [0.2399, 0.7204, 0.5127], [0.2601, 0.7204, 0.0127], [0.8019, 0.7479, 0.5203], [0.1981, 0.2521, 0.4797], [0.7399, 0.2796, 0.9873], [0.0300, 0.3189, 0.7201], [0.6981, 0.7479, 0.0203], [0.9053, 0.6257, 0.7844], [0.0947, 0.3743, 0.2156], [0.0000, 0.0000, 0.0000], [0.5947, 0.6257, 0.2844], [0.4053, 0.3743, 0.7156], [0.5000, 0.0000, 0.5000], [0.9794, 0.2019, 0.5998], [0.4794, 0.7981, 0.9002], [0.5206, 0.2019, 0.0998], [0.0206, 0.7981, 0.4002]]
}

Number 1: calculated formation energy -0.24 eV/atom. Number 2: calculated formation energy -1.30 eV/atom. Number 3: calculated formation energy -1.74 eV/atom.